Here is EuPIr after structural relaxation from Materials Project. Energies are from PBE.

## Properties
Mass density = 10.00 Mg/m³

Cell lengths 6.2936, 6.2936, 6.2936 Å; angles 90.00, 90.00, 90.00 degrees
Closest atoms and distances in Å follow each position.
Fractional coordinates of all 12 atoms:
Eu1 0.3870 0.8870 0.6130  4 P 3.04-3.15, 4 Ir 3.25-3.26
Eu2 0.8870 0.6130 0.3870  4 P 3.04-3.15, 4 Ir 3.25-3.26
Eu3 0.6130 0.3870 0.8870  4 P 3.04-3.15, 4 Ir 3.25-3.26
Eu4 0.1130 0.1130 0.1130  4 P 3.04-3.15, 4 Ir 3.25-3.26
P1 0.6661 0.1661 0.3339  3 Ir 2.28
P2 0.1661 0.3339 0.6661  3 Ir 2.28
P3 0.3339 0.6661 0.1661  3 Ir 2.28
P4 0.8339 0.8339 0.8339  3 Ir 2.28
Ir1 0.0889 0.5889 0.9111  3 P 2.28
Ir2 0.5889 0.9111 0.0889  3 P 2.28
Ir3 0.9111 0.0889 0.5889  3 P 2.28
Ir4 0.4111 0.4111 0.4111  3 P 2.28

---

Here is EuSi3Ir after structural relaxation from Materials Project. Energies are from PBE.

## Properties
Mass density = 7.89 Mg/m³

Cell lengths 5.8185, 5.8185, 5.8185 Å; angles 137.10, 137.10, 62.28 degrees
Closest atoms and distances in Å follow each position.
Fractional coordinates of all 5 atoms:
Eu1 0.0009 0.0009 0.0000  12 Si 3.13-3.38, 5 Ir 3.38-3.45
Si1 0.4148 0.4148 0.0000  1 Ir 2.39, 4 Si 2.60
Si2 0.2640 0.7640 0.5000  2 Ir 2.39, 2 Si 2.60
Si3 0.7640 0.2640 0.5000  2 Ir 2.39, 2 Si 2.60
Ir1 0.6544 0.6544 0.0000  5 Si 2.39

---

Here is EuSi2Ir2 after structural relaxation from Materials Project. Energies are from PBE.

## Properties
Mass density = 11.33 Mg/m³

Cell lengths 5.8875, 5.8875, 5.8875 Å; angles 139.03, 139.03, 59.32 degrees
Closest atoms and distances in Å follow each position.
Fractional coordinates of all 5 atoms:
Eu1 0.0000 0.0000 0.0000  8 Si 3.19, 8 Ir 3.28
Si1 0.6262 0.6262 0.0000  4 Ir 2.42, 1 Si 2.58
Si2 0.3738 0.3738 0.0000  4 Ir 2.42, 1 Si 2.58
Ir1 0.2500 0.7500 0.5000  4 Si 2.42
Ir2 0.7500 0.2500 0.5000  4 Si 2.42

---

Here is Eu3Sn13Ir4 after structural relaxation from Materials Project. Energies are from PBE.

## Properties
Mass density = 9.49 Mg/m³

Cell lengths 9.8942, 9.8942, 9.8942 Å; angles 90.00, 90.00, 90.00 degrees
Closest atoms and distances in Å follow each position.
Fractional coordinates of all 40 atoms:
Eu1 0.2500 0.0000 0.5000  12 Sn 3.49, 4 Ir 3.50
Eu2 0.7500 0.0000 0.5000  12 Sn 3.49, 4 Ir 3.50
Eu3 0.5000 0.2500 0.0000  12 Sn 3.49, 4 Ir 3.50
Eu4 0.5000 0.7500 0.0000  12 Sn 3.49, 4 Ir 3.50
Eu5 0.0000 0.5000 0.2500  12 Sn 3.49, 4 Ir 3.50
Eu6 0.0000 0.5000 0.7500  12 Sn 3.49, 4 Ir 3.50
Sn1 0.0000 0.0000 0.0000  12 Sn 3.35
Sn2 0.5000 0.5000 0.5000  12 Sn 3.35
Sn3 0.0000 0.1517 0.3028  2 Ir 2.71, 1 Sn 3.00
Sn4 0.0000 0.8483 0.6972  2 Ir 2.71, 1 Sn 3.00
Sn5 0.0000 0.8483 0.3028  2 Ir 2.71, 1 Sn 3.00
Sn6 0.0000 0.1517 0.6972  2 Ir 2.71, 1 Sn 3.00
Sn7 0.3028 0.0000 0.1517  2 Ir 2.71, 1 Sn 3.00
Sn8 0.6517 0.5000 0.1972  2 Ir 2.71, 1 Sn 3.00
Sn9 0.6972 0.0000 0.8483  2 Ir 2.71, 1 Sn 3.00
Sn10 0.3483 0.5000 0.8028  2 Ir 2.71, 1 Sn 3.00
Sn11 0.3028 0.0000 0.8483  2 Ir 2.71, 1 Sn 3.00
Sn12 0.3483 0.5000 0.1972  2 Ir 2.71, 1 Sn 3.00
Sn13 0.6972 0.0000 0.1517  2 Ir 2.71, 1 Sn 3.00
Sn14 0.6517 0.5000 0.8028  2 Ir 2.71, 1 Sn 3.00
Sn15 0.1517 0.3028 0.0000  2 Ir 2.71, 1 Sn 3.00
Sn16 0.5000 0.8028 0.3483  2 Ir 2.71, 1 Sn 3.00
Sn17 0.8483 0.6972 0.0000  2 Ir 2.71, 1 Sn 3.00
Sn18 0.5000 0.1972 0.6517  2 Ir 2.71, 1 Sn 3.00
Sn19 0.1517 0.6972 0.0000  2 Ir 2.71, 1 Sn 3.00
Sn20 0.5000 0.1972 0.3483  2 Ir 2.71, 1 Sn 3.00
Sn21 0.8483 0.3028 0.0000  2 Ir 2.71, 1 Sn 3.00
Sn22 0.5000 0.8028 0.6517  2 Ir 2.71, 1 Sn 3.00
Sn23 0.1972 0.6517 0.5000  2 Ir 2.71, 1 Sn 3.00
Sn24 0.8028 0.3483 0.5000  2 Ir 2.71, 1 Sn 3.00
Sn25 0.1972 0.3483 0.5000  2 Ir 2.71, 1 Sn 3.00
Sn26 0.8028 0.6517 0.5000  2 Ir 2.71, 1 Sn 3.00
Ir1 0.2500 0.2500 0.2500  6 Sn 2.71
Ir2 0.7500 0.7500 0.7500  6 Sn 2.71
Ir3 0.7500 0.7500 0.2500  6 Sn 2.71
Ir4 0.7500 0.2500 0.7500  6 Sn 2.71
Ir5 0.2500 0.2500 0.7500  6 Sn 2.71
Ir6 0.2500 0.7500 0.2500  6 Sn 2.71
Ir7 0.2500 0.7500 0.7500  6 Sn 2.71
Ir8 0.7500 0.2500 0.2500  6 Sn 2.71

---

Here is Eu2ZnIr after structural relaxation from Materials Project. Energies are from PBE.

## Properties
Mass density = 10.11 Mg/m³

Cell lengths 5.0710, 5.0710, 5.0710 Å; angles 60.00, 60.00, 60.00 degrees
Closest atoms and distances in Å follow each position.
Fractional coordinates of all 4 atoms:
Eu1 0.2500 0.2500 0.2500  4 Ir 3.11, 4 Zn 3.11
Eu2 0.7500 0.7500 0.7500  4 Zn 3.11, 4 Ir 3.11
Zn1 0.0000 0.0000 0.0000  8 Eu 3.11
Ir1 0.5000 0.5000 0.5000  8 Eu 3.11

---

Here is K2Na2Eu2MgNb2O10 after structural relaxation from Materials Project. Energies are from PBE.

## Properties
Mass density = 4.35 Mg/m³

Cell lengths 5.6840, 5.6840, 9.4378 Å; angles 90.00, 90.00, 90.00 degrees
Closest atoms and distances in Å follow each position.
Fractional coordinates of all 19 atoms:
K1 0.2500 0.7500 0.9705  4 O 2.86-3.05
K2 0.7500 0.2500 0.9705  4 O 2.86-3.05
Na1 0.7500 0.7500 0.1599  1 O 2.07, 1 Mg 2.27
Na2 0.2500 0.2500 0.7460  4 O 2.23
Eu1 0.7500 0.2500 0.5260  8 O 2.47-2.63
Eu2 0.2500 0.7500 0.5260  8 O 2.47-2.63
Mg1 0.7500 0.7500 0.4006  4 O 2.12, 1 Na 2.27
Nb1 0.2500 0.2500 0.2868  5 O 1.88-2.04
Nb2 0.7500 0.7500 0.7367  5 O 1.92-1.97
O1 0.7500 0.7500 0.9405  1 Nb 1.92, 1 Na 2.07
O2 0.2500 0.2500 0.0876  1 Nb 1.88
O3 0.9849 0.9849 0.6776  1 Nb 1.97
O4 0.5151 0.5151 0.6776  1 Nb 1.97
O5 0.4938 0.4938 0.3460  1 Nb 2.04, 1 Mg 2.12
O6 0.9849 0.5151 0.6776  1 Nb 1.97
O7 0.5151 0.9849 0.6776  1 Nb 1.97
O8 0.0062 0.4938 0.3460  1 Nb 2.04, 1 Mg 2.12
O9 0.0062 0.0062 0.3460  1 Nb 2.04, 1 Mg 2.12
O10 0.4938 0.0062 0.3460  1 Nb 2.04, 1 Mg 2.12

---

Here is K2EuNb5O15 after structural relaxation from Materials Project. Energies are from PBE.

## Properties
Mass density = 4.81 Mg/m³

Cell lengths 12.7462, 12.7462, 3.9707 Å; angles 90.00, 90.00, 90.00 degrees
Closest atoms and distances in Å follow each position.
Fractional coordinates of all 46 atoms:
K1 0.3306 0.1694 0.5000  7 O 2.90-3.05
K2 0.6694 0.8306 0.5000  7 O 2.90-3.05
K3 0.1694 0.6694 0.5000  7 O 2.90-3.05
K4 0.8306 0.3306 0.5000  7 O 2.90-3.05
Eu1 0.5000 0.5000 0.5000  12 O 2.67-2.73
Eu2 0.0000 0.0000 0.5000  12 O 2.67-2.73
Nb1 0.5000 0.0000 0.0000  6 O 1.99-2.00
Nb2 0.0000 0.5000 0.0000  6 O 1.99-2.00
Nb3 0.2142 0.9257 0.0000  6 O 1.92-2.06
Nb4 0.7858 0.0743 0.0000  6 O 1.92-2.06
Nb5 0.2858 0.4257 0.0000  6 O 1.92-2.06
Nb6 0.7142 0.5743 0.0000  6 O 1.92-2.06
Nb7 0.9257 0.7858 0.0000  6 O 1.92-2.06
Nb8 0.0743 0.2142 0.0000  6 O 1.92-2.06
Nb9 0.4257 0.7142 0.0000  6 O 1.92-2.06
Nb10 0.5743 0.2858 0.0000  6 O 1.92-2.06
O1 0.5000 0.0000 0.5000  2 Nb 1.99
O2 0.0000 0.5000 0.5000  2 Nb 1.99
O3 0.2864 0.7864 0.0000  2 Nb 2.00
O4 0.7136 0.2136 0.0000  2 Nb 2.00
O5 0.2136 0.2864 0.0000  2 Nb 2.00
O6 0.7864 0.7136 0.0000  2 Nb 2.00
O7 0.1567 0.5040 0.0000  2 Nb 1.92-2.00
O8 0.8433 0.4960 0.0000  2 Nb 1.92-2.00
O9 0.3433 0.0040 0.0000  2 Nb 1.92-2.00
O10 0.6567 0.9960 0.0000  2 Nb 1.92-2.00
O11 0.5040 0.8433 0.0000  2 Nb 1.92-2.00
O12 0.4960 0.1567 0.0000  2 Nb 1.92-2.00
O13 0.0040 0.6567 0.0000  2 Nb 1.92-2.00
O14 0.9960 0.3433 0.0000  2 Nb 1.92-2.00
O15 0.4317 0.6977 0.5000  2 Nb 2.00
O16 0.5683 0.3023 0.5000  2 Nb 2.00
O17 0.0683 0.1977 0.5000  2 Nb 2.00
O18 0.9317 0.8023 0.5000  2 Nb 2.00
O19 0.6977 0.5683 0.5000  2 Nb 2.00
O20 0.3023 0.4317 0.5000  2 Nb 2.00
O21 0.1977 0.9317 0.5000  2 Nb 2.00
O22 0.8023 0.0683 0.5000  2 Nb 2.00
O23 0.5649 0.6315 0.0000  2 Nb 2.04-2.06
O24 0.4351 0.3685 0.0000  2 Nb 2.04-2.06
O25 0.9351 0.1315 0.0000  2 Nb 2.04-2.06
O26 0.0649 0.8685 0.0000  2 Nb 2.04-2.06
O27 0.6315 0.4351 0.0000  2 Nb 2.04-2.06
O28 0.3685 0.5649 0.0000  2 Nb 2.04-2.06
O29 0.1315 0.0649 0.0000  2 Nb 2.04-2.06
O30 0.8685 0.9351 0.0000  2 Nb 2.04-2.06

---

Per-record ΔH_f (0 K), eV per atom: -1.0708; -0.7272; -0.9712; -0.4762; -0.3126; -2.6171; -3.0000